1.
This record from the Materials Project describes crystalline KH3CN2O at its relaxed geometry. The functional is PBE.

Unit cell a=7.273 b=7.585 c=13.717 alpha=90.00 beta=90.00 gamma=90.00
Positions (direct):
H 0.193 0.866 0.875
H 0.228 0.745 0.522
H 0.103 0.100 0.038
H 0.772 0.245 0.978
H 0.728 0.755 0.478
H 0.807 0.366 0.625
H 0.272 0.255 0.022
H 0.728 0.745 0.978
H 0.603 0.400 0.962
H 0.272 0.245 0.522
H 0.807 0.134 0.125
H 0.307 0.366 0.875
H 0.897 0.600 0.462
H 0.397 0.900 0.538
H 0.897 0.900 0.962
H 0.693 0.866 0.625
H 0.772 0.255 0.478
H 0.193 0.634 0.375
H 0.103 0.400 0.538
H 0.228 0.755 0.022
H 0.693 0.634 0.125
H 0.603 0.100 0.462
H 0.397 0.600 0.038
H 0.307 0.134 0.375
O 0.456 0.374 0.123
O 0.044 0.626 0.623
O 0.544 0.874 0.377
O 0.956 0.126 0.877
O 0.456 0.126 0.623
O 0.044 0.874 0.123
O 0.544 0.626 0.877
O 0.956 0.374 0.377
K 0.611 0.451 0.303
K 0.611 0.049 0.803
K 0.111 0.049 0.697
K 0.111 0.451 0.197
K 0.389 0.951 0.197
K 0.389 0.549 0.697
K 0.889 0.951 0.303
K 0.889 0.549 0.803
N 0.356 0.712 0.002
N 0.302 0.689 0.340
N 0.644 0.212 0.498
N 0.802 0.689 0.160
N 0.802 0.811 0.660
N 0.198 0.189 0.340
N 0.198 0.311 0.840
N 0.302 0.811 0.840
N 0.698 0.189 0.160
N 0.698 0.311 0.660
N 0.144 0.288 0.502
N 0.856 0.788 0.998
N 0.356 0.788 0.502
N 0.644 0.288 0.998
N 0.144 0.212 0.002
N 0.856 0.712 0.498
C 0.101 0.284 0.403
C 0.601 0.216 0.597
C 0.399 0.716 0.903
C 0.601 0.284 0.097
C 0.899 0.716 0.597
C 0.101 0.216 0.903
C 0.399 0.784 0.403
C 0.899 0.784 0.097

Properties
**Space group**: Pbca (61)
**Energy relative to the elements**: -736 meV per atom
**VASP energy**: -5.918 eV/atom
**Density**: 1.7 Mg/m³

=====

2.
This record from the Materials Project describes crystalline KPH6C2N4O4 at its relaxed geometry. The functional is PBE.

Unit cell a=7.761 b=7.761 c=8.278 alpha=114.97 beta=114.97 gamma=95.71
Positions (direct):
H 0.214 0.128 0.895
H 0.770 0.779 0.411
H 0.082 0.177 0.029
H 0.069 0.482 0.605
H 0.383 0.891 0.911
H 0.109 0.617 0.089
H 0.518 0.931 0.395
H 0.603 0.197 0.529
H 0.221 0.230 0.589
H 0.823 0.918 0.971
H 0.872 0.786 0.105
H 0.803 0.397 0.471
P 0.359 0.641 0.000
P 0.109 0.891 0.500
O 0.303 0.955 0.698
O 0.748 0.937 0.723
O 0.493 0.645 0.198
O 0.355 0.507 0.802
O 0.045 0.697 0.302
O 0.063 0.252 0.277
O 0.536 0.225 0.223
O 0.775 0.464 0.777
N 0.128 0.089 0.460
N 0.417 0.878 0.040
N 0.938 0.479 0.608
N 0.122 0.583 0.960
N 0.879 0.919 0.108
N 0.081 0.121 0.892
N 0.521 0.062 0.392
N 0.911 0.872 0.540
K 0.679 0.321 0.000
K 0.429 0.571 0.500
C 0.494 0.062 0.220
C 0.024 0.091 0.280
C 0.938 0.506 0.780
C 0.909 0.976 0.720

Properties
**Space group**: Fdd2 (43)
**Energy relative to the elements**: -1057 meV per atom
**VASP energy**: -6.375 eV/atom
**Density**: 1.9 Mg/m³

=====

3.
This record from the Materials Project describes crystalline K2H6PtC4N4O3 at its relaxed geometry. The functional is PBE.

Unit cell a=6.980 b=11.884 c=13.485 alpha=90.00 beta=90.00 gamma=90.00
Positions (direct):
C 0.016 0.976 0.854
C 0.484 0.476 0.354
C 0.000 0.666 0.520
C 0.500 0.834 0.980
C 0.500 0.166 0.020
C 0.984 0.524 0.354
C 0.500 0.666 0.480
C 0.516 0.524 0.646
C 0.984 0.024 0.146
C 0.484 0.976 0.146
C 0.000 0.334 0.480
C 0.000 0.834 0.020
C 0.500 0.334 0.520
C 0.016 0.476 0.646
C 0.516 0.024 0.854
C 0.000 0.166 0.980
O 0.178 0.296 0.200
O 0.822 0.704 0.800
O 0.178 0.796 0.300
O 0.678 0.704 0.200
O 0.678 0.204 0.300
O 0.322 0.296 0.800
O 0.750 0.028 0.500
O 0.822 0.204 0.700
O 0.750 0.528 0.000
O 0.250 0.472 0.000
O 0.250 0.972 0.500
O 0.322 0.796 0.700
H 0.645 0.081 0.512
H 0.145 0.919 0.512
H 0.739 0.641 0.781
H 0.261 0.359 0.219
H 0.260 0.268 0.860
H 0.355 0.919 0.488
H 0.355 0.419 0.012
H 0.645 0.581 0.988
H 0.239 0.359 0.781
H 0.145 0.419 0.988
H 0.761 0.641 0.219
H 0.260 0.768 0.640
H 0.740 0.232 0.360
H 0.240 0.268 0.140
H 0.855 0.081 0.488
H 0.760 0.232 0.640
H 0.261 0.859 0.281
H 0.855 0.581 0.012
H 0.239 0.859 0.719
H 0.760 0.732 0.860
H 0.240 0.768 0.360
H 0.761 0.141 0.281
H 0.740 0.732 0.140
H 0.739 0.141 0.719
N 0.973 0.039 0.232
N 0.473 0.961 0.232
N 0.001 0.264 0.970
N 0.499 0.264 0.030
N 0.999 0.736 0.030
N 0.001 0.764 0.530
N 0.501 0.236 0.530
N 0.527 0.539 0.732
N 0.527 0.039 0.768
N 0.999 0.236 0.470
N 0.027 0.961 0.768
N 0.973 0.539 0.268
N 0.499 0.764 0.470
N 0.501 0.736 0.970
N 0.027 0.461 0.732
N 0.473 0.461 0.268
K 0.796 0.360 0.156
K 0.796 0.860 0.344
K 0.704 0.360 0.844
K 0.204 0.640 0.844
K 0.296 0.640 0.156
K 0.704 0.860 0.656
K 0.296 0.140 0.344
K 0.204 0.140 0.656
Pt 0.500 0.500 0.500
Pt 0.000 0.500 0.500
Pt 0.000 0.000 0.000
Pt 0.500 0.000 0.000

Properties
**Space group**: Pbcn (60)
**Energy relative to the elements**: -659 meV per atom
**VASP energy**: -6.244 eV/atom
**Density**: 2.6 Mg/m³

=====

4.
This record from the Materials Project describes crystalline K3HRhC5N5O at its relaxed geometry. The functional is PBE.

Unit cell a=7.665 b=8.715 c=9.033 alpha=89.64 beta=99.64 gamma=101.19
Positions (direct):
N 0.906 0.600 0.662
N 0.430 0.583 0.827
N 0.094 0.400 0.338
N 0.598 0.888 0.145
N 0.402 0.112 0.855
N 0.570 0.417 0.173
N 0.022 0.778 0.058
N 0.978 0.222 0.942
N 0.251 0.872 0.411
N 0.749 0.128 0.589
K 0.694 0.911 0.825
K 0.306 0.089 0.175
K 0.124 0.309 0.688
K 0.876 0.691 0.312
K 0.661 0.370 0.827
K 0.339 0.630 0.173
C 0.938 0.212 0.063
C 0.680 0.340 0.209
C 0.773 0.647 0.601
C 0.208 0.846 0.529
C 0.320 0.660 0.791
C 0.062 0.788 0.937
C 0.227 0.353 0.399
C 0.696 0.005 0.193
C 0.792 0.154 0.471
C 0.304 0.995 0.807
H 0.995 0.070 0.307
H 0.005 0.930 0.693
O 0.358 0.309 0.465
O 0.642 0.691 0.535
Rh 0.138 0.809 0.736
Rh 0.862 0.191 0.264

Properties
**Space group**: P-1 (2)
**Energy relative to the elements**: -368 meV per atom
**VASP energy**: -7.004 eV/atom
**Density**: 2.1 Mg/m³